P) ! Fe4O7F (PBE+U, optimized geometry); values from VASP
! SG = P2_1/m, No. 11
! Theoretical density = 4.6 g/cm³
&SYSTEM
  ibrav = 0, nat = 24, ntyp = 3
/
ATOMIC_SPECIES
O 16.00 O.upf
Fe 55.84 Fe.upf
F 19.00 F.upf
CELL_PARAMETERS angstrom
5.997 0.000 0.000
0.000 4.643 0.000
0.000 0.302 9.262
ATOMIC_POSITIONS crystal
O 0.998 0.314 0.097
O 0.498 0.686 0.903
O 0.502 0.314 0.097
O 0.001 0.305 0.595
O 0.501 0.695 0.405
O 0.002 0.686 0.903
O 0.250 0.805 0.653
O 0.750 0.173 0.838
O 0.750 0.789 0.646
O 0.250 0.827 0.162
O 0.999 0.695 0.405
O 0.250 0.211 0.354
O 0.750 0.195 0.347
O 0.499 0.305 0.595
Fe 0.750 0.498 0.499
Fe 0.995 0.982 0.743
Fe 0.250 0.529 0.015
Fe 0.005 0.018 0.257
Fe 0.505 0.982 0.743
Fe 0.250 0.502 0.501
Fe 0.750 0.471 0.985
Fe 0.495 0.018 0.257
F 0.250 0.189 0.848
F 0.750 0.811 0.152

Q) ! Fe4O7F (PBE+U, optimized geometry); values from VASP
! SG = Cm, No. 8
! Theoretical density = 4.6 g/cm³
&SYSTEM
  ibrav = 0, nat = 24, ntyp = 3
/
ATOMIC_SPECIES
O 16.00 O.upf
Fe 55.84 Fe.upf
F 19.00 F.upf
CELL_PARAMETERS angstrom
-2.451 -5.939 -3.997
4.918 -2.880 4.977
-3.376 -0.769 3.035
ATOMIC_POSITIONS crystal
O 0.216 0.480 0.195
O 0.899 0.899 0.693
O 0.480 0.216 0.195
O 0.151 0.656 0.694
O 0.961 0.724 0.186
O 0.344 0.850 0.308
O 0.724 0.961 0.186
O 0.596 0.596 0.297
O 0.656 0.151 0.694
O 0.405 0.405 0.692
O 0.530 0.779 0.808
O 0.779 0.530 0.808
O 0.098 0.098 0.312
O 0.850 0.344 0.308
Fe 0.629 0.377 0.501
Fe 0.867 0.113 0.484
Fe 0.509 0.997 0.007
Fe 0.746 0.746 0.994
Fe 0.113 0.867 0.484
Fe 0.266 0.266 0.030
Fe 0.997 0.509 0.007
Fe 0.377 0.629 0.501
F 0.277 0.030 0.808
F 0.030 0.277 0.808

R) ! Fe4O7F (PBE+U, optimized geometry); values from VASP
! SG = Cm, No. 8
! Theoretical density = 4.6 g/cm³
&SYSTEM
  ibrav = 0, nat = 24, ntyp = 3
/
ATOMIC_SPECIES
O 16.00 O.upf
Fe 55.84 Fe.upf
F 19.00 F.upf
CELL_PARAMETERS angstrom
-5.532 -6.154 -5.003
-4.228 -8.690 0.332
-3.834 1.788 1.787
ATOMIC_POSITIONS crystal
O 0.796 0.796 0.191
O 0.455 0.455 0.818
O 0.326 0.828 0.693
O 0.202 0.202 0.803
O 0.080 0.573 0.691
O 0.573 0.080 0.691
O 0.420 0.926 0.309
O 0.175 0.673 0.306
O 0.700 0.700 0.807
O 0.673 0.175 0.306
O 0.049 0.049 0.194
O 0.950 0.950 0.799
O 0.926 0.420 0.309
O 0.828 0.326 0.693
Fe 0.381 0.381 0.520
Fe 0.628 0.628 0.514
Fe 0.501 0.993 0.993
Fe 0.993 0.501 0.993
Fe 0.125 0.125 0.499
Fe 0.239 0.759 0.992
Fe 0.759 0.239 0.992
Fe 0.873 0.873 0.494
F 0.551 0.551 0.202
F 0.300 0.300 0.192

Winner for stability: P)

P) ! Fe4OF7 (PBE+U, optimized geometry); values from VASP
! SG = Cm, No. 8
! Theoretical density = 4.1 g/cm³
&SYSTEM
  ibrav = 0, nat = 24, ntyp = 3
/
ATOMIC_SPECIES
O 16.00 O.upf
F 19.00 F.upf
Fe 55.84 Fe.upf
CELL_PARAMETERS angstrom
-5.308 0.261 2.324
-3.457 -4.083 -2.240
-1.438 -7.885 6.923
ATOMIC_POSITIONS crystal
O 0.800 0.800 0.101
O 0.546 0.546 0.602
F 0.241 0.719 0.848
F 0.054 0.054 0.601
F 0.007 0.534 0.654
F 0.202 0.202 0.904
F 0.257 0.785 0.154
F 0.534 0.007 0.654
F 0.719 0.241 0.848
F 0.951 0.951 0.395
F 0.696 0.696 0.892
F 0.302 0.302 0.101
F 0.785 0.257 0.154
F 0.447 0.447 0.400
F 0.491 0.971 0.347
F 0.971 0.491 0.347
Fe 0.377 0.377 0.249
Fe 0.994 0.510 0.004
Fe 0.510 0.994 0.004
Fe 0.257 0.747 0.504
Fe 0.747 0.257 0.504
Fe 0.868 0.868 0.239
Fe 0.617 0.617 0.737
Fe 0.127 0.127 0.754

Q) ! Fe4OF7 (PBE+U, optimized geometry); values from VASP
! SG = Cmcm, No. 63
! Theoretical density = 4.1 g/cm³
&SYSTEM
  ibrav = 0, nat = 24, ntyp = 3
/
ATOMIC_SPECIES
Fe 55.84 Fe.upf
F 19.00 F.upf
O 16.00 O.upf
CELL_PARAMETERS angstrom
-3.713 -1.917 -2.475
-1.161 -2.662 3.893
-7.573 9.337 4.128
ATOMIC_POSITIONS crystal
Fe 0.509 0.509 0.635
Fe 0.491 0.491 0.365
Fe 0.980 0.980 0.750
Fe 0.000 0.000 0.500
Fe 0.491 0.491 0.135
Fe 0.020 0.020 0.250
Fe 0.000 0.000 0.000
Fe 0.509 0.509 0.865
F 0.307 0.307 0.998
F 0.307 0.307 0.502
F 0.208 0.794 0.378
F 0.792 0.206 0.878
F 0.285 0.285 0.750
F 0.206 0.792 0.878
F 0.792 0.206 0.622
F 0.715 0.715 0.250
F 0.794 0.208 0.378
F 0.208 0.794 0.122
F 0.693 0.693 0.498
F 0.794 0.208 0.122
F 0.206 0.792 0.622
F 0.693 0.693 0.002
O 0.306 0.306 0.250
O 0.694 0.694 0.750

R) ! Fe4OF7 (PBE+U, optimized geometry); values from VASP
! SG = Cm, No. 8
! Theoretical density = 4.1 g/cm³
&SYSTEM
  ibrav = 0, nat = 24, ntyp = 3
/
ATOMIC_SPECIES
Fe 55.84 Fe.upf
F 19.00 F.upf
O 16.00 O.upf
CELL_PARAMETERS angstrom
-3.533 0.634 9.681
1.903 -2.312 9.881
2.298 4.291 0.738
ATOMIC_POSITIONS crystal
Fe 0.484 0.010 0.010
Fe 0.879 0.879 0.489
Fe 0.010 0.484 0.010
Fe 0.222 0.771 0.011
Fe 0.130 0.130 0.475
Fe 0.375 0.375 0.492
Fe 0.622 0.622 0.510
Fe 0.771 0.222 0.011
F 0.797 0.797 0.810
F 0.580 0.066 0.302
F 0.819 0.328 0.300
F 0.666 0.180 0.709
F 0.448 0.448 0.199
F 0.066 0.580 0.302
F 0.302 0.302 0.787
F 0.328 0.819 0.300
F 0.180 0.666 0.709
F 0.054 0.054 0.774
F 0.698 0.698 0.207
F 0.427 0.919 0.711
F 0.919 0.427 0.711
F 0.546 0.546 0.813
O 0.200 0.200 0.205
O 0.949 0.949 0.212

S) ! Fe4OF7 (PBE+U, optimized geometry); values from VASP
! SG = Pc, No. 7
! Theoretical density = 4.1 g/cm³
&SYSTEM
  ibrav = 0, nat = 24, ntyp = 3
/
ATOMIC_SPECIES
Fe 55.84 Fe.upf
O 16.00 O.upf
F 19.00 F.upf
CELL_PARAMETERS angstrom
4.785 0.000 0.000
0.000 5.790 0.000
0.000 1.486 10.782
ATOMIC_POSITIONS crystal
Fe 0.759 0.010 0.497
Fe 0.755 0.485 0.999
Fe 0.231 0.246 0.265
Fe 0.249 0.753 0.746
Fe 0.769 0.246 0.765
Fe 0.751 0.753 0.246
Fe 0.241 0.010 0.997
Fe 0.245 0.485 0.499
O 0.058 0.221 0.417
O 0.942 0.221 0.917
F 0.942 0.986 0.683
F 0.058 0.986 0.183
F 0.543 0.027 0.320
F 0.457 0.027 0.820
F 0.948 0.721 0.422
F 0.449 0.778 0.571
F 0.454 0.518 0.316
F 0.551 0.778 0.071
F 0.443 0.278 0.091
F 0.964 0.477 0.174
F 0.052 0.721 0.922
F 0.546 0.518 0.816
F 0.557 0.278 0.591
F 0.036 0.477 0.674

Winner for stability: S)

P) ! Fe4OF7 (PBE+U, optimized geometry); values from VASP
! SG = P1, No. 1
! Theoretical density = 4.1 g/cm³
&SYSTEM
  ibrav = 0, nat = 24, ntyp = 3
/
ATOMIC_SPECIES
Fe 55.84 Fe.upf
F 19.00 F.upf
O 16.00 O.upf
CELL_PARAMETERS angstrom
-0.830 -3.596 -4.480
0.343 -5.474 1.913
-9.283 -0.281 1.608
ATOMIC_POSITIONS crystal
Fe 0.870 0.871 0.626
Fe 0.748 0.754 0.251
Fe 0.245 0.252 0.741
Fe 0.028 0.976 0.002
Fe 0.611 0.628 0.879
Fe 0.140 0.141 0.388
Fe 0.372 0.389 0.118
Fe 0.492 0.490 0.497
F 0.980 0.986 0.224
F 0.943 0.553 0.755
F 0.016 0.022 0.782
F 0.437 0.051 0.252
F 0.196 0.813 0.491
F 0.784 0.788 0.026
F 0.722 0.722 0.474
F 0.719 0.281 0.002
F 0.549 0.952 0.752
F 0.478 0.474 0.723
F 0.529 0.523 0.274
F 0.214 0.218 0.977
F 0.814 0.195 0.491
F 0.044 0.441 0.254
O 0.273 0.275 0.522
O 0.296 0.706 0.001

Q) ! Fe4OF7 (PBE+U, optimized geometry); values from VASP
! SG = Amm2, No. 38
! Theoretical density = 4.1 g/cm³
&SYSTEM
  ibrav = 0, nat = 12, ntyp = 3
/
ATOMIC_SPECIES
Fe 55.84 Fe.upf
F 19.00 F.upf
O 16.00 O.upf
CELL_PARAMETERS angstrom
3.414 -3.451 0.000
3.414 3.451 0.000
0.000 0.000 6.368
ATOMIC_POSITIONS crystal
Fe 0.480 0.480 0.500
Fe 0.009 0.009 0.730
Fe 0.009 0.009 0.270
Fe 0.507 0.507 0.000
F 0.199 0.199 0.000
F 0.813 0.813 0.000
F 0.294 0.708 0.756
F 0.785 0.785 0.500
F 0.708 0.294 0.756
F 0.294 0.708 0.244
F 0.708 0.294 0.244
O 0.195 0.195 0.500

R) ! Fe4OF7 (PBE+U, optimized geometry); values from VASP
! SG = P2_1, No. 4
! Theoretical density = 4.1 g/cm³
&SYSTEM
  ibrav = 0, nat = 24, ntyp = 3
/
ATOMIC_SPECIES
F 19.00 F.upf
O 16.00 O.upf
Fe 55.84 Fe.upf
CELL_PARAMETERS angstrom
4.807 0.000 0.000
0.000 6.505 0.000
0.000 0.035 9.611
ATOMIC_POSITIONS crystal
F 0.300 0.858 0.277
F 0.303 0.882 0.772
F 0.698 0.877 0.976
F 0.215 0.614 0.527
F 0.205 0.628 0.018
F 0.185 0.140 0.532
F 0.797 0.631 0.229
F 0.803 0.118 0.228
F 0.685 0.860 0.468
F 0.198 0.123 0.024
F 0.715 0.386 0.473
F 0.800 0.142 0.723
F 0.297 0.369 0.771
F 0.705 0.372 0.982
O 0.308 0.388 0.282
O 0.808 0.612 0.718
Fe 0.001 0.873 0.122
Fe 0.486 0.130 0.371
Fe 0.986 0.394 0.635
Fe 0.986 0.870 0.629
Fe 0.501 0.127 0.878
Fe 0.017 0.376 0.133
Fe 0.517 0.624 0.867
Fe 0.486 0.606 0.365

Winner for stability: R)

P) ! Fe5O2F8 (PBE+U, optimized geometry); values from VASP
! SG = P1, No. 1
! Theoretical density = 4.2 g/cm³
&SYSTEM
  ibrav = 0, nat = 30, ntyp = 3
/
ATOMIC_SPECIES
F 19.00 F.upf
Fe 55.84 Fe.upf
O 16.00 O.upf
CELL_PARAMETERS angstrom
4.848 0.000 0.000
0.123 7.967 0.000
0.336 3.277 9.582
ATOMIC_POSITIONS crystal
F 0.700 0.658 0.318
F 0.184 0.457 0.367
F 0.807 0.558 0.622
F 0.794 0.155 0.820
F 0.700 0.462 0.922
F 0.214 0.244 0.980
F 0.296 0.934 0.886
F 0.208 0.637 0.786
F 0.712 0.246 0.518
F 0.700 0.082 0.112
F 0.798 0.380 0.209
F 0.183 0.828 0.183
F 0.291 0.739 0.486
F 0.796 0.752 0.030
F 0.212 0.036 0.583
F 0.807 0.955 0.420
Fe 0.019 0.598 0.192
Fe 0.468 0.311 0.108
Fe 0.994 0.007 0.001
Fe 0.975 0.803 0.611
Fe 0.504 0.098 0.697
Fe 0.028 0.393 0.786
Fe 0.017 0.193 0.393
Fe 0.502 0.698 0.895
Fe 0.488 0.910 0.306
Fe 0.489 0.494 0.511
O 0.309 0.151 0.269
O 0.321 0.313 0.680
O 0.304 0.548 0.073
O 0.678 0.861 0.736

Q) ! Fe5O2F8 (PBE+U, optimized geometry); values from VASP
! SG = P1, No. 1
! Theoretical density = 4.2 g/cm³
&SYSTEM
  ibrav = 0, nat = 30, ntyp = 3
/
ATOMIC_SPECIES
Fe 55.84 Fe.upf
O 16.00 O.upf
F 19.00 F.upf
CELL_PARAMETERS angstrom
-4.650 0.802 -0.897
-1.395 -5.313 1.865
-2.335 2.361 13.131
ATOMIC_POSITIONS crystal
Fe 0.527 0.290 0.597
Fe 0.998 0.813 0.594
Fe 0.972 0.219 0.402
Fe 0.964 0.619 0.205
Fe 0.481 0.502 0.990
Fe 0.021 0.407 0.802
Fe 0.989 0.994 0.010
Fe 0.490 0.888 0.803
Fe 0.510 0.095 0.198
Fe 0.510 0.693 0.396
O 0.803 0.134 0.535
O 0.809 0.509 0.339
O 0.308 0.578 0.868
O 0.805 0.904 0.146
F 0.703 0.802 0.946
F 0.792 0.316 0.942
F 0.207 0.659 0.072
F 0.290 0.773 0.259
F 0.694 0.226 0.734
F 0.187 0.078 0.862
F 0.708 0.023 0.344
F 0.685 0.609 0.546
F 0.198 0.277 0.263
F 0.810 0.724 0.736
F 0.703 0.427 0.131
F 0.306 0.196 0.055
F 0.215 0.477 0.653
F 0.201 0.897 0.453
F 0.315 0.998 0.655
F 0.298 0.371 0.466

Winner for stability: Q)